No. 1
Na15Nb10Zn2Si15P3O72: optimized geometry, PBE-GGA.

Summary:
Space group   P1

Lattice parameters (Å, degrees): 9.0388 9.0499 22.4995 89.98 90.08 119.96
Atoms (fractional coordinates):
1 O 0.1849 0.0226 0.5889
2 O 0.1803 0.0055 0.3081
3 O 0.5214 0.8137 0.7523
4 O 0.8041 0.8324 0.1954
5 O 0.3112 0.8343 0.9728
6 O 0.9668 0.8101 0.0892
7 O 0.6860 0.1611 0.7507
8 O 0.6906 0.1618 0.0333
9 O 0.8387 0.8108 0.5888
10 O 0.0202 0.8338 0.4109
11 O 0.2884 0.4644 0.7525
12 O 0.8994 0.3847 0.6463
13 O 0.6395 0.4934 0.9229
14 O 0.5082 0.3619 0.4230
15 O 0.3586 0.8651 0.8568
16 O 0.3177 0.4819 0.4711
17 O 0.5052 0.8603 0.3570
18 O 0.8544 0.4925 0.4232
19 O 0.1582 0.6897 0.4755
20 O 0.3441 0.8486 0.5760
21 O 0.8348 0.5185 0.0290
22 O 0.5285 0.8452 0.4749
23 O 0.2984 0.8187 0.2525
24 O 0.5342 0.7101 0.2527
25 O 0.5106 0.8570 0.0753
26 O 0.8519 0.3566 0.9238
27 O 0.1804 0.6991 0.7528
28 O 0.0277 0.8282 0.6906
29 O 0.6944 0.5448 0.2502
30 O 0.1689 0.1930 0.6960
31 O 0.1836 0.4779 0.2523
32 O 0.4563 0.3060 0.7506
33 O 0.0001 0.8259 0.8073
34 O 0.6955 0.5231 0.5308
35 O 0.1385 0.6431 0.3582
36 O 0.5071 0.6633 0.5767
37 O 0.8121 0.9774 0.4111
38 O 0.1657 0.9725 0.1924
39 O 0.8909 0.5094 0.1458
40 O 0.8338 0.5274 0.7528
41 O 0.9704 0.1588 0.5895
42 O 0.0249 0.1892 0.9113
43 O 0.1382 0.4964 0.8579
44 O 0.6365 0.1033 0.1451
45 O 0.8366 0.3125 0.2501
46 O 0.1858 0.1840 0.8080
47 O 0.4785 0.3622 0.1484
48 O 0.3410 0.4968 0.0778
49 O 0.4782 0.3133 0.0294
50 O 0.1508 0.6532 0.0756
51 O 0.3567 0.4906 0.3547
52 O 0.1828 0.1645 0.0878
53 O 0.0240 0.1960 0.1894
54 O 0.8036 0.9744 0.6907
55 O 0.1674 0.9798 0.9114
56 O 0.1667 0.1905 0.4122
57 O 0.8324 0.0287 0.0873
58 O 0.9908 0.1719 0.3066
59 O 0.5084 0.1446 0.9244
60 O 0.4759 0.1653 0.5280
61 O 0.4921 0.1108 0.6451
62 O 0.1520 0.4999 0.5740
63 O 0.8104 0.8326 0.9122
64 O 0.6320 0.5198 0.6488
65 O 0.6404 0.1472 0.4216
66 O 0.8296 0.3024 0.5301
67 O 0.5197 0.6832 0.9725
68 O 0.8181 0.8152 0.3074
69 O 0.5078 0.6426 0.8554
70 O 0.4749 0.1645 0.2502
71 O 0.1580 0.4709 0.9756
72 O 0.8270 0.0078 0.8075
73 Si 0.9607 0.3363 0.5860
74 Si 0.0396 0.3760 0.9172
75 Si 0.3783 0.0454 0.5858
76 Si 0.9559 0.6224 0.0863
77 Si 0.6597 0.6167 0.5871
78 Si 0.3808 0.3382 0.0871
79 Si 0.0025 0.2908 0.2493
80 Si 0.2894 0.9977 0.2513
81 Si 0.3394 0.3787 0.4152
82 Si 0.0387 0.6645 0.4176
83 Si 0.6240 0.9607 0.4162
84 Si 0.7073 0.9955 0.7506
85 Si 0.0024 0.7117 0.7512
86 Si 0.3365 0.9607 0.9174
87 Si 0.6206 0.6626 0.9161
88 Nb 0.0088 0.0002 0.1425
89 Nb 0.9987 0.9969 0.6432
90 Nb 0.0042 0.0065 0.3585
91 Nb 0.3347 0.6651 0.5191
92 Nb 0.6640 0.3380 0.9788
93 Nb 0.3326 0.6709 0.8140
94 Nb 0.3288 0.6655 0.3136
95 Nb 0.9943 0.9963 0.8592
96 Nb 0.3325 0.6665 0.0200
97 Nb 0.6657 0.3316 0.4790
98 Na 0.6596 0.9772 0.5851
99 Na 0.9995 0.9863 0.9986
100 Na 0.0133 0.0142 0.4974
101 Na 0.0235 0.6853 0.5848
102 Na 0.6682 0.3301 0.3309
103 Na 0.9812 0.6100 0.2390
104 Na 0.9758 0.3695 0.7421
105 Na 0.0218 0.3386 0.0868
106 Na 0.6328 0.0222 0.2429
107 Na 0.6283 0.6093 0.7412
108 Na 0.3465 0.6790 0.1618
109 Na 0.3899 0.3717 0.2404
110 Na 0.6716 0.3316 0.8302
111 Na 0.3316 0.6494 0.6631
112 Na 0.3888 0.0187 0.7384
113 Zn 0.6656 0.3304 0.1800
114 Zn 0.6723 0.3349 0.6793
115 P 0.6636 0.0395 0.0856
116 P 0.2797 0.2865 0.7523
117 P 0.7139 0.7214 0.2514

No. 2
Na3Nb10Zn2Si3P15O72: optimized geometry, PBE-GGA.

Summary:
Space group   P1

Lattice parameters (Å, degrees): 8.8099 8.8086 22.7950 89.89 90.00 120.00
Atoms (fractional coordinates):
1 O 0.5039 0.8620 0.0736
2 O 0.8645 0.5035 0.4207
3 O 0.4963 0.1357 0.9193
4 O 0.8014 0.8376 0.9097
5 O 0.3586 0.4957 0.0736
6 O 0.5292 0.8376 0.4718
7 O 0.7059 0.1569 0.0264
8 O 0.7068 0.5470 0.5280
9 O 0.4524 0.2955 0.0263
10 O 0.0304 0.1968 0.1928
11 O 0.8403 0.2939 0.5280
12 O 0.1373 0.6397 0.0739
13 O 0.4925 0.3599 0.1370
14 O 0.8281 0.0182 0.0914
15 O 0.8066 0.8323 0.1931
16 O 0.3558 0.4971 0.3621
17 O 0.1970 0.0230 0.5951
18 O 0.3062 0.8406 0.2600
19 O 0.1721 0.2017 0.6954
20 O 0.0343 0.1986 0.9089
21 O 0.2031 0.0354 0.3054
22 O 0.4958 0.1332 0.6378
23 O 0.1683 0.6911 0.7609
24 O 0.3580 0.8618 0.5746
25 O 0.8654 0.3617 0.9195
26 O 0.6892 0.5188 0.2406
27 O 0.1376 0.4969 0.5747
28 O 0.4688 0.1636 0.2407
29 O 0.8434 0.5492 0.0267
30 O 0.9671 0.1602 0.3080
31 O 0.1985 0.1686 0.8050
32 O 0.1624 0.6914 0.4715
33 O 0.1629 0.4681 0.9714
34 O 0.8248 0.3031 0.2406
35 O 0.4553 0.1604 0.5277
36 O 0.7971 0.9636 0.4094
37 O 0.6417 0.5054 0.9198
38 O 0.4986 0.3634 0.4204
39 O 0.4689 0.3026 0.7421
40 O 0.8667 0.5061 0.1371
41 O 0.5044 0.8608 0.3622
42 O 0.1431 0.4936 0.8617
43 O 0.9849 0.8101 0.0922
44 O 0.9680 0.8063 0.8074
45 O 0.8253 0.5174 0.7417
46 O 0.6373 0.5031 0.6376
47 O 0.3093 0.4672 0.7606
48 O 0.8319 0.0332 0.8052
49 O 0.1731 0.9723 0.1954
50 O 0.0385 0.8355 0.4083
51 O 0.5319 0.6946 0.9716
52 O 0.8404 0.8032 0.3083
53 O 0.6393 0.1315 0.1370
54 O 0.3517 0.8578 0.8617
55 O 0.1679 0.2016 0.4079
56 O 0.8229 0.8053 0.5957
57 O 0.3043 0.8373 0.9715
58 O 0.5021 0.6405 0.5747
59 O 0.6917 0.1627 0.7421
60 O 0.6396 0.1370 0.4206
61 O 0.8650 0.3630 0.6376
62 O 0.0267 0.8350 0.6932
63 O 0.1407 0.6454 0.3621
64 O 0.5344 0.8385 0.7606
65 O 0.8009 0.9738 0.6956
66 O 0.9800 0.1764 0.5969
67 O 0.1915 0.1712 0.0914
68 O 0.3075 0.4700 0.4715
69 O 0.1654 0.4776 0.2608
70 O 0.1654 0.9677 0.9091
71 O 0.5249 0.6955 0.2609
72 O 0.5082 0.6493 0.8617
73 Zn 0.6670 0.3335 0.9807
74 Zn 0.6669 0.3337 0.4795
75 P 0.2854 0.2833 0.7499
76 P 0.3381 0.3815 0.4164
77 P 0.0440 0.6625 0.4162
78 P 0.9505 0.6212 0.0810
79 P 0.7162 0.0013 0.7500
80 P 0.6654 0.6188 0.5809
81 P 0.6173 0.6621 0.9168
82 P 0.3831 0.0486 0.5811
83 P 0.9524 0.3327 0.5811
84 P 0.6700 0.0502 0.0810
85 P 0.3798 0.3285 0.0809
86 P 0.3383 0.9556 0.9168
87 P 0.6161 0.9563 0.4165
88 P 0.2842 0.0014 0.2513
89 P 0.0446 0.3811 0.9169
90 Si 0.7155 0.7144 0.2517
91 Si 0.9981 0.2839 0.2515
92 Si 0.9972 0.7119 0.7497
93 Nb 0.9938 0.9979 0.3600
94 Nb 0.3333 0.6657 0.0254
95 Nb 0.0017 0.9966 0.6419
96 Nb 0.3312 0.6659 0.8099
97 Nb 0.3327 0.6645 0.3092
98 Nb 0.3319 0.6663 0.5220
99 Nb 0.9976 0.0014 0.1473
100 Nb 0.9982 0.9953 0.8565
101 Nb 0.6684 0.3354 0.1887
102 Nb 0.6690 0.3354 0.6859
103 Na 0.6667 0.3335 0.8406
104 Na 0.0008 0.0010 0.0019
105 Na 0.6667 0.3333 0.3416

No. 3
Na7Nb2Zn2Si3P3O24: optimized geometry, PBE-GGA.

Summary:
Space group   P1

Lattice parameters (Å, degrees): 9.1621 9.1248 22.2340 90.53 89.67 120.19
Atoms (fractional coordinates):
1 O 0.3070 0.4692 0.4668
2 O 0.8187 0.0278 0.8063
3 O 0.8216 0.8248 0.9153
4 O 0.5169 0.8760 0.3537
5 O 0.5320 0.6760 0.2556
6 O 0.5037 0.1383 0.9227
7 O 0.7061 0.5505 0.5306
8 O 0.4420 0.1439 0.5209
9 O 0.8644 0.3664 0.9213
10 O 0.7831 0.8120 0.1896
11 O 0.8965 0.3825 0.6427
12 O 0.8359 0.5188 0.0251
13 O 0.6799 0.1630 0.0287
14 O 0.1805 0.9625 0.1869
15 O 0.1554 0.5006 0.5715
16 O 0.3720 0.4963 0.0843
17 O 0.1882 0.9898 0.9144
18 O 0.5275 0.8283 0.7577
19 O 0.6494 0.1412 0.1403
20 O 0.1809 0.6987 0.7571
21 O 0.1430 0.4547 0.9764
22 O 0.5272 0.8386 0.4718
23 O 0.8243 0.3029 0.2445
24 O 0.0219 0.2005 0.9106
25 O 0.8397 0.5135 0.7454
26 O 0.1941 0.0296 0.3055
27 O 0.3249 0.8411 0.2532
28 O 0.1620 0.4809 0.2551
29 O 0.5397 0.6859 0.9823
30 O 0.8635 0.5149 0.4244
31 O 0.4782 0.3176 0.0269
32 O 0.7861 0.9634 0.6940
33 O 0.7029 0.5315 0.2446
34 O 0.4802 0.3430 0.4198
35 O 0.1734 0.0028 0.5913
36 O 0.8337 0.8017 0.3015
37 O 0.6573 0.1514 0.4188
38 O 0.8233 0.8146 0.5909
39 O 0.3472 0.4679 0.3542
40 O 0.0288 0.2090 0.1859
41 O 0.6774 0.1463 0.7458
42 O 0.3578 0.8661 0.8635
43 O 0.1628 0.1941 0.6976
44 O 0.9679 0.1626 0.3051
45 O 0.6324 0.5321 0.6432
46 O 0.3075 0.8529 0.9764
47 O 0.2111 0.1828 0.8148
48 O 0.8196 0.9751 0.4101
49 O 0.9689 0.7838 0.8131
50 O 0.8542 0.5021 0.1410
51 O 0.1611 0.1939 0.4112
52 O 0.0269 0.8302 0.6947
53 O 0.4873 0.1080 0.6422
54 O 0.0379 0.8409 0.4115
55 O 0.4818 0.3210 0.7455
56 O 0.8269 0.0375 0.0829
57 O 0.1127 0.6383 0.3574
58 O 0.3436 0.8420 0.5737
59 O 0.1418 0.6356 0.0826
60 O 0.4986 0.6411 0.8626
61 O 0.2085 0.1722 0.0817
62 O 0.5099 0.6574 0.5742
63 O 0.1314 0.4965 0.8634
64 O 0.4787 0.1814 0.2440
65 O 0.9646 0.8077 0.0822
66 O 0.1590 0.6948 0.4701
67 O 0.9769 0.1578 0.5936
68 O 0.4935 0.3476 0.1391
69 O 0.8482 0.2873 0.5235
70 O 0.3024 0.4815 0.7578
71 O 0.6338 0.4879 0.9225
72 O 0.5028 0.8743 0.0832
73 Na 0.9521 0.3061 0.4246
74 Na 0.6674 0.3293 0.8219
75 Na 0.9850 0.9934 0.9963
76 Na 0.9997 0.0013 0.5013
77 Na 0.9786 0.3596 0.7424
78 Na 0.0145 0.6798 0.5843
79 Na 0.3563 0.3753 0.2550
80 Na 0.6686 0.7173 0.0799
81 Na 0.6665 0.3410 0.3476
82 Na 0.6160 0.9787 0.2589
83 Na 0.2796 0.9493 0.0856
84 Na 0.6685 0.9876 0.5837
85 Na 0.0510 0.3343 0.0859
86 Na 0.3563 0.0434 0.4227
87 Na 0.9752 0.6914 0.9082
88 Na 0.6477 0.6213 0.7454
89 Na 0.3257 0.6666 0.1693
90 Na 0.3771 0.0197 0.7437
91 Na 0.0266 0.6444 0.2546
92 Na 0.3163 0.2884 0.9094
93 Na 0.3281 0.6550 0.6639
94 Zn 0.6647 0.3253 0.4892
95 Zn 0.3332 0.6686 0.0160
96 Zn 0.6685 0.3354 0.6778
97 Zn 0.0047 0.9959 0.1516
98 Zn 0.3294 0.6693 0.3180
99 Zn 0.9900 0.9936 0.8485
100 Nb 0.9979 0.0021 0.3518
101 Nb 0.0115 0.0070 0.6486
102 Nb 0.3348 0.6656 0.8151
103 Nb 0.3378 0.6677 0.5177
104 Nb 0.6721 0.3327 0.1891
105 Nb 0.6706 0.3398 0.9768
106 Si 0.3735 0.0421 0.5822
107 Si 0.0039 0.2929 0.2455
108 Si 0.2925 0.9979 0.2461
109 Si 0.6298 0.6762 0.9223
110 Si 0.9632 0.6305 0.0833
111 Si 0.2955 0.2925 0.7563
112 Si 0.6287 0.9617 0.4121
113 Si 0.9628 0.3323 0.5829
114 Si 0.9985 0.7031 0.7537
115 P 0.3353 0.3750 0.4117
116 P 0.6655 0.6273 0.5843
117 P 0.0379 0.6670 0.4146
118 P 0.3364 0.9595 0.9209
119 P 0.7099 0.7091 0.2463
120 P 0.6655 0.0455 0.0822
121 P 0.7081 0.9978 0.7521
122 P 0.0410 0.3729 0.9196
123 P 0.3803 0.3337 0.0834

Number 1: energy with MP2020 corrections -7.828 eV per atom, total DFT energy (no corrections) -7.405 eV per atom. Number 2: energy with MP2020 corrections -8.196 eV per atom, total DFT energy (no corrections) -7.725 eV per atom. Number 3: energy with MP2020 corrections -7.135 eV per atom, total DFT energy (no corrections) -6.733 eV per atom.